# 1
Computed, not measured: a relaxed Sc2Co3Si crystal at the r²SCAN level of DFT.

Output
Formation energy from the elements: -0.47 eV per atom
Uncorrected energy: -148.2 eV/cell

Cell lengths 4.991, 4.991, 7.403 Å; angles 90.00, 90.00, 120.00 degrees
Sites, in units of the cell vectors:
Sc: 0.333 0.667 0.061
Sc: 0.333 0.667 0.439
Sc: 0.667 0.333 0.561
Sc: 0.667 0.333 0.939
Co: 0.170 0.341 0.750
Co: 0.170 0.830 0.750
Co: 0.341 0.170 0.250
Co: 0.659 0.830 0.750
Co: 0.830 0.170 0.250
Co: 0.830 0.659 0.250
Si: 0.000 0.000 0.000
Si: 0.000 0.000 0.500


# 2
Computed, not measured: a relaxed V2ZnO6 crystal at the r²SCAN level of DFT.

Output
Formation energy from the elements: -2.30 eV per atom
Uncorrected energy: -93.6 eV/cell

Cell lengths 4.948, 4.948, 6.574 Å; angles 110.47, 110.47, 41.41 degrees
Sites, in units of the cell vectors:
V: 0.189 0.189 0.153
V: 0.811 0.811 0.847
Zn: 0.000 0.000 0.500
O: 0.029 0.029 0.219
O: 0.308 0.308 0.935
O: 0.343 0.343 0.390
O: 0.657 0.657 0.610
O: 0.692 0.692 0.065
O: 0.971 0.971 0.781


# 3
Computed, not measured: a relaxed La3LuSe6 crystal at the r²SCAN level of DFT.

Output
Formation energy from the elements: -2.32 eV per atom
Uncorrected energy: -945.4 eV/cell

Cell lengths 14.749, 17.736, 4.182 Å; angles 90.00, 90.00, 90.00 degrees
Sites, in units of the cell vectors:
La: 0.049 0.219 0.000
La: 0.181 0.651 0.000
La: 0.248 0.899 0.500
La: 0.252 0.399 0.000
La: 0.319 0.151 0.500
La: 0.451 0.719 0.500
La: 0.549 0.281 0.500
La: 0.681 0.849 0.500
La: 0.748 0.601 0.000
La: 0.752 0.101 0.500
La: 0.819 0.349 0.000
La: 0.951 0.781 0.000
Lu: 0.000 0.000 0.500
Lu: 0.000 0.500 0.500
Lu: 0.500 0.000 0.000
Lu: 0.500 0.500 0.000
Se: 0.023 0.396 0.000
Se: 0.091 0.923 0.000
Se: 0.104 0.754 0.500
Se: 0.124 0.110 0.500
Se: 0.186 0.523 0.500
Se: 0.187 0.290 0.500
Se: 0.313 0.790 0.000
Se: 0.314 0.023 0.000
Se: 0.376 0.610 0.000
Se: 0.396 0.254 0.000
Se: 0.409 0.423 0.500
Se: 0.477 0.896 0.500
Se: 0.523 0.104 0.500
Se: 0.591 0.577 0.500
Se: 0.604 0.746 0.000
Se: 0.624 0.390 0.000
Se: 0.686 0.977 0.000
Se: 0.687 0.210 0.000
Se: 0.813 0.710 0.500
Se: 0.814 0.477 0.500
Se: 0.876 0.890 0.500
Se: 0.896 0.246 0.500
Se: 0.909 0.077 0.000
Se: 0.977 0.604 0.000


Which of these has the highest uncorrected energy?
V2ZnO6


Which value of formation energy from the elements does entry 1 give?
-0.47 eV per atom


Look up the formation energy from the elements of the third one.
-2.32 eV per atom


Look up the formation energy from the elements of the third one.
-2.32 eV per atom